1.
The following is a DFT calculation (GGA+U) of a relaxed MgFe10O16F4 crystal.

The value obtained for the formation energy is -1.690 eV/atom. Its total magnetization is 46.0 μB/cell. Its mass density is 4465 kg/m3. The value obtained for the polymorph energy (0 for the lowest one) is 10.2 meV/atom.

Geometry as CIF:
```
data_MgFe10O16F4
_chemical_formula_sum 'Mg1 Fe10 O16 F4'
_cell_length_a 4.8541
_cell_length_b 5.5548
_cell_length_c 12.8751
_cell_angle_alpha 101.47
_cell_angle_beta 90.24
_cell_angle_gamma 90.32
_space_group_name_H-M_alt 'P 1'
_space_group_IT_number 1
loop_
_space_group_symop_operation_xyz
'x,y,z'
loop_
_atom_site_label
_atom_site_type_symbol
_atom_site_fract_x
_atom_site_fract_y
_atom_site_fract_z
Mg1 Mg 0.0000 0.0000 0.0000
Fe1 Fe 0.0018 0.8076 0.7080
Fe2 Fe 0.0296 0.5460 0.8913
Fe3 Fe 0.4549 0.4994 0.4977
Fe4 Fe 0.4581 0.2688 0.6906
Fe5 Fe 0.4970 0.0743 0.8997
Fe6 Fe 0.5009 0.6996 0.3040
Fe7 Fe 0.5177 0.8920 0.1041
Fe8 Fe 0.9530 0.2304 0.3128
Fe9 Fe 0.9578 0.0052 0.5099
Fe10 Fe 0.9933 0.4650 0.1128
O1 O 0.1561 0.7457 0.5664
O2 O 0.1658 0.3076 0.9689
O3 O 0.1777 0.5283 0.7528
O4 O 0.2793 0.2365 0.5550
O5 O 0.2876 0.4509 0.3563
O6 O 0.3011 0.0400 0.7671
O7 O 0.3186 0.6548 0.1669
O8 O 0.3323 0.8098 0.9638
O9 O 0.6582 0.7625 0.4422
O10 O 0.6624 0.1684 0.0476
O11 O 0.6685 0.9709 0.2460
O12 O 0.7790 0.2618 0.4489
O13 O 0.7849 0.0488 0.6491
O14 O 0.8058 0.4750 0.2435
O15 O 0.8338 0.8604 0.8487
O16 O 0.8367 0.6906 0.0370
F1 F 0.1539 0.1303 0.1535
F2 F 0.1577 0.9513 0.3614
F3 F 0.6621 0.5525 0.6442
F4 F 0.6752 0.3594 0.8430
```

***

2.
The following is a DFT calculation (GGA+U) of a relaxed SbP6W3O24 crystal.

The value obtained for the formation energy is -2.428 eV/atom. Its total magnetization is 3.0 μB/cell. Its mass density is 4070 kg/m3.

Geometry as CIF:
```
data_SbP6W3O24
_chemical_formula_sum 'Sb1 P6 W3 O24'
_cell_length_a 9.0481
_cell_length_b 9.0481
_cell_length_c 9.0481
_cell_angle_alpha 58.62
_cell_angle_beta 58.62
_cell_angle_gamma 58.62
_space_group_name_H-M_alt 'P 1'
_space_group_IT_number 1
loop_
_space_group_symop_operation_xyz
'x,y,z'
loop_
_atom_site_label
_atom_site_type_symbol
_atom_site_fract_x
_atom_site_fract_y
_atom_site_fract_z
Sb1 Sb 0.0000 0.0000 0.0000
P1 P 0.0994 0.6712 0.4023
P2 P 0.1800 0.5994 0.8956
P3 P 0.4023 0.0994 0.6712
P4 P 0.5994 0.8956 0.1800
P5 P 0.6712 0.4023 0.0994
P6 P 0.8956 0.1800 0.5994
W1 W 0.2851 0.2851 0.2851
W2 W 0.4983 0.4983 0.4983
W3 W 0.7858 0.7858 0.7858
O1 O 0.0062 0.6337 0.8684
O2 O 0.0758 0.1925 0.4311
O3 O 0.0828 0.8491 0.2354
O4 O 0.1255 0.5066 0.3664
O5 O 0.1683 0.7696 0.9052
O6 O 0.1925 0.4311 0.0758
O7 O 0.2354 0.0828 0.8491
O8 O 0.2601 0.6256 0.4490
O9 O 0.3564 0.5445 0.7413
O10 O 0.3664 0.1255 0.5066
O11 O 0.4311 0.0758 0.1925
O12 O 0.4490 0.2601 0.6256
O13 O 0.5066 0.3664 0.1255
O14 O 0.5445 0.7413 0.3564
O15 O 0.5735 0.9229 0.6972
O16 O 0.6256 0.4490 0.2601
O17 O 0.6337 0.8684 0.0062
O18 O 0.6972 0.5735 0.9229
O19 O 0.7413 0.3564 0.5445
O20 O 0.7696 0.9052 0.1683
O21 O 0.8491 0.2354 0.0828
O22 O 0.8684 0.0062 0.6337
O23 O 0.9052 0.1683 0.7696
O24 O 0.9229 0.6972 0.5735
```

***

3.
The following is a DFT calculation (GGA+U) of a relaxed Y2Cr3O12 crystal.

The value obtained for the formation energy is -2.344 eV/atom. Its total magnetization is 0.0 μB/cell. Its mass density is 3872 kg/m3. The value obtained for the polymorph energy (0 for the lowest one) is 34.2 meV/atom.

Geometry as CIF:
```
data_Y2Cr3O12
_chemical_formula_sum 'Y4 Cr6 O24'
_cell_length_a 5.0854
_cell_length_b 6.8318
_cell_length_c 14.1934
_cell_angle_alpha 85.06
_cell_angle_beta 80.05
_cell_angle_gamma 68.25
_space_group_name_H-M_alt 'P 1'
_space_group_IT_number 1
loop_
_space_group_symop_operation_xyz
'x,y,z'
loop_
_atom_site_label
_atom_site_type_symbol
_atom_site_fract_x
_atom_site_fract_y
_atom_site_fract_z
Y1 Y 0.1201 0.2070 0.0462
Y2 Y 0.1270 0.8725 0.3769
Y3 Y 0.8730 0.1275 0.6231
Y4 Y 0.8799 0.7930 0.9538
Cr1 Cr 0.3665 0.9670 0.7958
Cr2 Cr 0.3715 0.6268 0.1221
Cr3 Cr 0.3859 0.2844 0.4549
Cr4 Cr 0.6141 0.7156 0.5451
Cr5 Cr 0.6285 0.3732 0.8779
Cr6 Cr 0.6335 0.0330 0.2042
O1 O 0.1482 0.0139 0.9066
O2 O 0.1795 0.5467 0.0558
O3 O 0.1833 0.3070 0.5608
O4 O 0.1828 0.6959 0.2274
O5 O 0.1941 0.8894 0.7268
O6 O 0.2576 0.1732 0.3847
O7 O 0.2705 0.8741 0.5273
O8 O 0.3191 0.5583 0.8663
O9 O 0.3221 0.2086 0.1806
O10 O 0.3826 0.5162 0.4094
O11 O 0.4378 0.1644 0.7384
O12 O 0.4451 0.8330 0.0609
O13 O 0.5549 0.1670 0.9391
O14 O 0.5622 0.8356 0.2616
O15 O 0.6174 0.4838 0.5906
O16 O 0.6779 0.7914 0.8194
O17 O 0.6809 0.4417 0.1337
O18 O 0.7295 0.1259 0.4727
O19 O 0.7424 0.8268 0.6153
O20 O 0.8059 0.1106 0.2732
O21 O 0.8172 0.3041 0.7726
O22 O 0.8167 0.6930 0.4392
O23 O 0.8205 0.4533 0.9442
O24 O 0.8518 0.9861 0.0934
```

***

4.
The following is a DFT calculation (GGA+U) of a relaxed Li9Mn2Co5O16 crystal.

The value obtained for the formation energy is -1.844 eV/atom. Its total magnetization is 12.0 μB/cell. Its mass density is 4228 kg/m3. The value obtained for the polymorph energy (0 for the lowest one) is 20.1 meV/atom.

Geometry as CIF:
```
data_Li9Mn2Co5O16
_chemical_formula_sum 'Li9 Mn2 Co5 O16'
_cell_length_a 5.1072
_cell_length_b 5.8225
_cell_length_c 10.0828
_cell_angle_alpha 90.65
_cell_angle_beta 99.27
_cell_angle_gamma 105.99
_space_group_name_H-M_alt 'P 1'
_space_group_IT_number 1
loop_
_space_group_symop_operation_xyz
'x,y,z'
loop_
_atom_site_label
_atom_site_type_symbol
_atom_site_fract_x
_atom_site_fract_y
_atom_site_fract_z
Li1 Li 0.0000 0.0000 0.0000
Li2 Li 0.0004 0.2344 0.7575
Li3 Li 0.9995 0.2425 0.2481
Li4 Li 0.0003 0.4913 0.4975
Li5 Li 0.0021 0.4870 0.0001
Li6 Li 0.0021 0.7408 0.2482
Li7 Li 0.0066 0.9915 0.5004
Li8 Li 0.5019 0.1218 0.8747
Li9 Li 0.9988 0.7432 0.7544
Mn1 Mn 0.5001 0.8702 0.6294
Mn2 Mn 0.5048 0.6130 0.8745
Co1 Co 0.4953 0.8737 0.1179
Co2 Co 0.4994 0.1164 0.3746
Co3 Co 0.5007 0.3629 0.6282
Co4 Co 0.5005 0.6111 0.3722
Co5 Co 0.5048 0.3589 0.1183
O1 O 0.2635 0.0608 0.1893
O2 O 0.2693 0.3288 0.9351
O3 O 0.2742 0.8041 0.4491
O4 O 0.2774 0.0580 0.6807
O5 O 0.2784 0.7971 0.9434
O6 O 0.2789 0.3006 0.4469
O7 O 0.2797 0.5567 0.1937
O8 O 0.2831 0.5640 0.6908
O9 O 0.7146 0.6680 0.5639
O10 O 0.7229 0.4369 0.8048
O11 O 0.7235 0.1671 0.5723
O12 O 0.7241 0.9087 0.8052
O13 O 0.7272 0.9296 0.3115
O14 O 0.7340 0.6768 0.0493
O15 O 0.7387 0.4257 0.3154
O16 O 0.7399 0.1860 0.0697
```

***

5.
The following is a DFT calculation (GGA+U) of a relaxed LaFeWO6 crystal.

The value obtained for the formation energy is -2.533 eV/atom. Its total magnetization is 0.0 μB/cell. Its mass density is 6541 kg/m3.

Geometry as CIF:
```
data_LaFeWO6
_chemical_formula_sum 'La2 Fe2 W2 O12'
_cell_length_a 5.5230
_cell_length_b 5.5754
_cell_length_c 9.5786
_cell_angle_alpha 90.00
_cell_angle_beta 125.22
_cell_angle_gamma 90.00
_space_group_name_H-M_alt 'P 1'
_space_group_IT_number 1
loop_
_space_group_symop_operation_xyz
'x,y,z'
loop_
_atom_site_label
_atom_site_type_symbol
_atom_site_fract_x
_atom_site_fract_y
_atom_site_fract_z
La1 La 0.0000 0.2151 0.0000
La2 La 0.0000 0.7849 0.5000
Fe1 Fe 0.7461 0.2548 0.2511
Fe2 Fe 0.7461 0.7452 0.7511
W1 W 0.2440 0.2583 0.7508
W2 W 0.2440 0.7417 0.2508
O1 O 0.0042 0.4646 0.7888
O2 O 0.0042 0.5354 0.2888
O3 O 0.0471 0.0107 0.2814
O4 O 0.0471 0.9893 0.7814
O5 O 0.4192 0.4683 0.2165
O6 O 0.4192 0.5317 0.7165
O7 O 0.4819 0.0272 0.7257
O8 O 0.4819 0.9728 0.2257
O9 O 0.5617 0.2597 0.9969
O10 O 0.5617 0.7403 0.4969
O11 O 0.9489 0.2398 0.5072
O12 O 0.9489 0.7602 0.0072
```

***

6.
The following is a DFT calculation (GGA+U) of a relaxed MnOF crystal.

The value obtained for the formation energy is -2.315 eV/atom. Its total magnetization is 24.0 μB/cell. Its mass density is 4351 kg/m3.

Geometry as CIF:
```
data_MnOF
_chemical_formula_sum 'Mn6 O6 F6'
_cell_length_a 4.6707
_cell_length_b 5.6954
_cell_length_c 7.7794
_cell_angle_alpha 85.41
_cell_angle_beta 88.02
_cell_angle_gamma 87.14
_space_group_name_H-M_alt 'P 1'
_space_group_IT_number 1
loop_
_space_group_symop_operation_xyz
'x,y,z'
loop_
_atom_site_label
_atom_site_type_symbol
_atom_site_fract_x
_atom_site_fract_y
_atom_site_fract_z
Mn1 Mn 0.0000 0.0000 0.0000
Mn2 Mn 0.0154 0.3303 0.6503
Mn3 Mn 0.4818 0.1618 0.3161
Mn4 Mn 0.5000 0.5000 0.0000
Mn5 Mn 0.5182 0.8382 0.6839
Mn6 Mn 0.9846 0.6697 0.3497
O1 O 0.1898 0.0339 0.7661
O2 O 0.1988 0.3766 0.4281
O3 O 0.3145 0.2139 0.0922
O4 O 0.6855 0.7861 0.9078
O5 O 0.8012 0.6234 0.5719
O6 O 0.8102 0.9661 0.2339
F1 F 0.2014 0.6989 0.1272
F2 F 0.2922 0.5330 0.7836
F3 F 0.3151 0.8624 0.4560
F4 F 0.6849 0.1376 0.5440
F5 F 0.7078 0.4670 0.2164
F6 F 0.7986 0.3011 0.8728
```